[1]
Here is Sr3Tl5 after structural relaxation from Materials Project. Energies are from GGA-PBE. Values from VASP.

Space group = Cmcm (63)
Raw total energy = -2.46 eV per atom
Spin magnetization = 0.009 μB per atom

Geometry as Quantum ESPRESSO input:
```
&SYSTEM
  ibrav = 0, nat = 16, ntyp = 2
/
ATOMIC_SPECIES
Sr 87.62 Sr.upf
Tl 204.38 Tl.upf
CELL_PARAMETERS angstrom
-0.673 -3.719 -5.760
6.547 -1.152 1.810
-3.346 -9.136 6.290
ATOMIC_POSITIONS angstrom
Sr -0.853 -7.756 -1.050
Sr 0.820 -3.188 -4.195
Sr 5.054 -1.683 0.244
Sr 1.463 -4.190 0.026
Sr 1.065 -9.816 2.313
Sr 3.381 -6.251 3.389
Tl -1.402 -10.247 4.813
Tl 1.959 -6.296 -2.769
Tl 3.284 -11.656 0.821
Tl 0.569 -7.710 5.108
Tl 2.538 -7.559 0.143
Tl -2.291 -8.727 2.109
Tl 4.819 -5.279 0.230
Tl 3.930 -3.760 -2.473
Tl -0.756 -2.351 1.518
Tl -0.011 -6.448 2.197
```

[2]
Here is Dy2P7Rh12 after structural relaxation from Materials Project. Energies are from GGA-PBE. Values from VASP.

Space group = P-3 (147)
Raw total energy = -7.37 eV per atom

Geometry as Quantum ESPRESSO input:
```
&SYSTEM
  ibrav = 0, nat = 21, ntyp = 3
/
ATOMIC_SPECIES
Rh 102.91 Rh.upf
Dy 162.50 Dy.upf
P 30.97 P.upf
CELL_PARAMETERS angstrom
-0.199 3.637 8.914
-7.723 -4.551 -3.516
1.342 -3.358 1.400
ATOMIC_POSITIONS angstrom
Rh -5.539 -1.114 5.333
Rh -0.575 -0.401 2.287
Rh -2.129 -0.874 8.012
Rh -0.996 1.707 7.746
Rh -6.970 -3.078 1.970
Rh -5.584 -5.980 -0.948
Rh -3.222 -1.497 2.171
Rh -1.041 -3.159 1.465
Rh -3.358 -2.776 4.627
Rh 0.390 -1.195 4.828
Rh -6.005 -3.872 4.511
Rh -4.451 -3.399 -1.214
Dy -2.369 0.063 5.122
Dy -4.210 -4.336 1.675
P -3.759 -2.034 6.818
P -5.300 -1.912 3.139
P -6.531 -3.797 -0.202
P -1.279 -2.361 3.659
P 0.671 -1.679 0.700
P -2.821 -2.239 -0.020
P -0.048 -0.476 7.000
```

[3]
Here is NaInAs2O7 after structural relaxation from Materials Project. Energies are from GGA-PBE. Values from VASP.

Space group = C2/c (15)
E (MP2020) = -6.26 eV per atom

Geometry as Quantum ESPRESSO input:
```
&SYSTEM
  ibrav = 0, nat = 44, ntyp = 4
/
ATOMIC_SPECIES
O 16.00 O.upf
As 74.92 As.upf
In 114.82 In.upf
Na 22.99 Na.upf
CELL_PARAMETERS angstrom
4.448 5.225 0.000
-4.448 5.225 0.000
0.000 4.827 13.361
ATOMIC_POSITIONS angstrom
O 0.848 12.565 10.910
O -1.808 8.693 6.959
O -2.415 8.255 2.654
O 3.613 8.384 8.111
O -3.613 5.971 1.430
O -0.848 2.713 2.451
O -0.886 5.703 6.930
O -3.613 6.893 5.250
O 2.415 7.023 10.707
O 1.808 6.279 0.279
O 0.606 4.462 4.935
O 2.415 10.668 9.335
O 0.886 3.289 0.249
O 0.606 8.402 1.746
O -0.848 10.151 4.230
O -1.808 8.999 13.082
O -2.415 4.609 4.026
O 0.323 9.566 11.356
O -0.606 10.816 8.426
O -0.886 11.989 13.112
O -0.323 7.152 4.676
O -0.606 6.876 11.615
O 1.808 6.585 6.402
O 3.613 9.307 11.931
O 0.323 8.125 8.685
O 0.886 9.575 6.431
O -0.323 5.712 2.005
O 0.848 5.127 9.131
As 0.380 5.980 5.670
As -0.699 4.826 8.478
As 0.699 2.413 1.797
As -0.380 9.297 7.691
As -0.380 8.394 12.350
As -0.699 12.865 11.564
As 0.380 6.884 1.011
As 0.699 10.451 4.883
In -2.069 8.410 4.804
In -2.069 4.454 1.876
In 2.069 6.867 8.557
In 2.069 10.824 11.484
Na 3.214 8.074 5.087
Na 3.214 4.790 1.593
Na -3.214 10.488 11.768
Na -3.214 7.203 8.274
```

[4]
Here is Na15Ca2Nb10Si15P3O72 after structural relaxation from Materials Project. Energies are from GGA-PBE. Values from VASP.

Space group = P1 (1)
Spin magnetization = 0.000 μB per atom
E (MP2020) = -7.90 eV per atom

Geometry as Quantum ESPRESSO input:
```
&SYSTEM
  ibrav = 0, nat = 117, ntyp = 6
/
ATOMIC_SPECIES
O 16.00 O.upf
Si 28.09 Si.upf
Ca 40.08 Ca.upf
Nb 92.91 Nb.upf
Na 22.99 Na.upf
P 30.97 P.upf
CELL_PARAMETERS angstrom
9.106 0.004 0.004
-4.550 7.897 -0.010
0.010 -0.024 22.689
ATOMIC_POSITIONS angstrom
O 3.592 3.876 20.958
O 0.984 6.657 10.719
O 1.641 5.628 5.769
O 3.544 1.248 5.753
O 1.040 3.885 8.067
O -2.959 7.879 6.991
O 3.963 4.124 12.072
O 5.542 1.212 17.110
O 2.901 7.679 15.688
O -2.914 7.669 4.369
O 7.482 0.211 1.957
O 5.579 1.281 0.761
O 8.140 1.231 13.371
O 6.253 2.467 5.753
O 3.593 1.307 12.022
O 1.705 5.028 19.418
O -0.659 1.534 4.327
O 0.696 3.764 10.655
O 1.651 5.401 22.022
O 3.952 6.437 13.331
O -1.593 5.229 1.563
O 2.989 2.839 9.614
O -1.661 5.042 8.120
O 2.939 7.717 9.297
O -3.620 6.553 9.302
O 1.564 0.130 13.346
O 0.677 1.482 9.328
O 5.356 0.689 3.255
O 3.961 0.642 14.626
O -0.684 3.699 22.069
O 3.746 6.437 6.970
O 6.140 2.800 20.979
O -0.962 6.580 22.020
O -3.509 6.535 15.678
O 7.537 0.021 18.334
O 5.226 4.196 17.134
O -1.701 5.441 10.731
O 0.663 6.801 8.092
O -3.728 6.541 18.318
O 5.970 4.158 3.294
O -0.784 6.643 12.921
O 3.618 6.544 20.666
O 3.837 4.324 5.673
O -0.843 3.908 12.903
O 1.087 6.388 17.112
O 6.180 2.375 12.052
O 0.774 3.893 1.624
O 0.653 1.521 15.799
O -1.522 5.546 17.113
O 1.596 5.308 12.958
O -1.031 6.427 5.760
O 0.857 1.421 18.328
O -2.916 7.740 20.654
O -0.457 3.746 5.771
O 5.535 3.876 9.616
O 2.937 2.467 0.700
O 0.869 1.282 1.971
O 8.285 1.337 6.974
O 6.588 3.081 14.647
O -1.016 3.912 19.454
O 5.166 1.157 9.593
O 3.240 4.251 14.709
O 2.478 2.935 3.363
O 5.139 6.442 2.003
O 5.229 4.097 0.693
O 2.739 2.396 17.035
O 0.502 3.637 17.113
O -0.635 6.823 19.438
O 3.528 6.577 4.441
O -0.643 1.476 20.645
O 3.976 1.136 20.990
O 0.809 6.737 1.589
Si -1.923 7.834 5.727
Si 2.660 5.211 20.769
Si 5.921 4.984 1.921
Si -2.680 5.223 9.452
Si 7.282 2.646 13.267
Si 1.944 7.819 17.059
Si -3.191 5.637 17.061
Si 3.166 4.937 13.279
Si 1.309 7.585 9.421
Si 1.383 2.966 9.414
Si 1.839 2.670 1.935
Si -1.295 7.586 20.793
Si 3.214 0.271 13.257
Si -1.353 2.949 20.785
Si -1.260 2.281 5.697
Ca 4.537 2.633 4.106
Ca 4.556 2.629 15.470
Nb 0.085 0.002 3.251
Nb 0.010 0.028 8.151
Nb -0.010 5.279 18.487
Nb 4.557 2.608 10.894
Nb 0.018 5.238 11.698
Nb -0.025 5.240 7.135
Nb -0.005 5.272 0.368
Nb 4.539 7.855 19.499
Nb 4.562 7.859 14.597
Nb 4.518 2.653 22.231
Na 5.686 0.147 5.577
Na -1.352 2.685 1.934
Na 1.815 2.908 5.502
Na 1.545 7.710 13.250
Na 4.589 2.587 7.571
Na 6.190 4.840 5.486
Na 0.073 5.135 15.026
Na 4.603 7.783 22.665
Na -2.891 5.377 13.242
Na 7.252 2.901 16.881
Na 0.061 5.323 3.653
Na 3.451 0.088 16.825
Na 2.952 4.853 16.859
Na 0.054 0.081 11.295
Na 4.631 2.606 18.903
P 5.904 0.261 1.900
P 1.223 2.239 17.079
P 3.213 5.717 5.712
```

[5]
Here is MgZn after structural relaxation from Materials Project. Energies are from GGA-PBE. Values from VASP.

Space group = Amm2 (38)
Raw total energy = -1.45 eV per atom
Spin magnetization = 0.000 μB per atom

Geometry as Quantum ESPRESSO input:
```
&SYSTEM
  ibrav = 0, nat = 6, ntyp = 2
/
ATOMIC_SPECIES
Mg 24.30 Mg.upf
Zn 65.41 Zn.upf
CELL_PARAMETERS angstrom
-0.112 5.105 -5.873
-2.819 -4.276 5.860
0.986 3.537 3.055
ATOMIC_POSITIONS angstrom
Mg -1.093 1.765 2.043
Mg -0.251 4.684 -1.607
Mg -1.916 -1.146 1.945
Zn -2.802 -4.219 5.788
Zn -2.027 -1.474 6.094
Zn -1.029 1.927 -1.898
```

[6]
Here is YHoAl2 after structural relaxation from Materials Project. Energies are from GGA-PBE. Values from VASP.

Space group = Fm-3m (225)
Raw total energy = -5.04 eV per atom

Geometry as Quantum ESPRESSO input:
```
&SYSTEM
  ibrav = 0, nat = 4, ntyp = 3
/
ATOMIC_SPECIES
Al 26.98 Al.upf
Ho 164.93 Ho.upf
Y 88.91 Y.upf
CELL_PARAMETERS angstrom
0.000 3.593 3.593
3.593 0.000 3.593
3.593 3.593 0.000
ATOMIC_POSITIONS angstrom
Al 1.797 1.797 1.797
Al 5.390 5.390 5.390
Ho 3.593 3.593 3.593
Y 0.000 0.000 0.000
```